P.
This record from Materials Project describes an optimized crystal structure of LiTaNbAg2O6. The functional is GGA-PBE.

The magnetization is 0.000 μB/f.u. The calculated density comes out at 7.25 g/cm3.

```
data_LiTaNbAg2O6
_chemical_formula_sum 'Li1 Ta1 Nb1 Ag2 O6'
_space_group_name_H-M_alt 'P 1'
_space_group_IT_number 1
_space_group_name_Hall 'P 1'
_cell_length_a 4.100
_cell_length_b 4.100
_cell_length_c 8.120
_cell_angle_alpha 94.33
_cell_angle_beta 94.33
_cell_angle_gamma 87.98
loop_
_atom_site_label
_atom_site_fract_x
_atom_site_fract_y
_atom_site_fract_z
Li1 0.000 0.000 0.000
Ta1 0.626 0.626 0.142
Nb1 0.726 0.726 0.634
Ag1 0.184 0.184 0.400
Ag2 0.273 0.273 0.809
O1 0.155 0.655 0.137
O2 0.223 0.737 0.626
O3 0.655 0.155 0.137
O4 0.687 0.687 0.892
O5 0.691 0.691 0.380
O6 0.737 0.223 0.626
```

***

Q.
This record from Materials Project describes an optimized crystal structure of LiTaNbAg2O6. The functional is GGA-PBE.

The magnetization is 0.010 μB/f.u. The calculated density comes out at 7.13 g/cm3.

```
data_LiTaNbAg2O6
_chemical_formula_sum 'Li1 Ta1 Nb1 Ag2 O6'
_space_group_name_H-M_alt 'P 1'
_space_group_IT_number 1
_space_group_name_Hall 'P 1'
_cell_length_a 4.064
_cell_length_b 8.226
_cell_length_c 4.129
_cell_angle_alpha 90.00
_cell_angle_beta 90.25
_cell_angle_gamma 90.00
loop_
_atom_site_label
_atom_site_fract_x
_atom_site_fract_y
_atom_site_fract_z
Li1 0.000 0.000 0.000
Ta1 0.500 0.769 0.000
Nb1 0.500 0.290 0.000
Ag1 0.000 0.129 0.500
Ag2 0.000 0.551 0.500
O1 0.000 0.282 0.000
O2 0.000 0.777 0.000
O3 0.500 0.022 0.000
O4 0.500 0.292 0.500
O5 0.500 0.531 0.000
O6 0.500 0.767 0.500
```

***

Energy ordering: P at the bottom, the next structure 0.027 eV/atom above.

***

P.
This record from Materials Project describes an optimized crystal structure of KC2. The functional is GGA-PBE.

The magnetization is 1.000 μB/f.u. The calculated density comes out at 1.47 g/cm3.

```
data_KC2
_chemical_formula_sum 'K1 C2'
_space_group_name_H-M_alt 'P 1'
_space_group_IT_number 1
_space_group_name_Hall 'P 1'
_cell_length_a 4.846
_cell_length_b 4.846
_cell_length_c 4.846
_cell_angle_alpha 126.23
_cell_angle_beta 126.23
_cell_angle_gamma 79.50
loop_
_atom_site_label
_atom_site_fract_x
_atom_site_fract_y
_atom_site_fract_z
K1 0.000 0.000 0.000
C1 0.415 0.415 0.000
C2 0.585 0.585 0.000
```

***

Q.
This record from Materials Project describes an optimized crystal structure of KC2. The functional is GGA-PBE.

The magnetization is 1.000 μB/f.u. The calculated density comes out at 1.46 g/cm3.

```
data_KC2
_chemical_formula_sum 'K2 C4'
_space_group_name_H-M_alt 'P 1'
_space_group_IT_number 1
_space_group_name_Hall 'P 1'
_cell_length_a 4.676
_cell_length_b 4.676
_cell_length_c 8.278
_cell_angle_alpha 106.31
_cell_angle_beta 106.31
_cell_angle_gamma 57.02
loop_
_atom_site_label
_atom_site_fract_x
_atom_site_fract_y
_atom_site_fract_z
K1 0.216 0.216 0.248
K2 0.784 0.784 0.752
C1 0.072 0.072 0.557
C2 0.464 0.464 0.057
C3 0.536 0.536 0.943
C4 0.928 0.928 0.443
```

***

Energy ordering: P at the bottom, the next structure 0.017 eV/atom above.